1.
# BCl

Crystalline BCl at its relaxed geometry (PBE-GGA, the Materials Project).

a b c (Å): 12.600 12.600 12.600
angles (deg): 90.00 90.00 90.00
Fractional positions:
1 B 0.025 0.035 0.131
2 B 0.025 0.465 0.631
3 B 0.035 0.131 0.025
4 B 0.035 0.369 0.525
5 B 0.060 0.596 0.578
6 B 0.060 0.904 0.078
7 B 0.078 0.060 0.904
8 B 0.078 0.440 0.404
9 B 0.096 0.578 0.440
10 B 0.096 0.922 0.940
11 B 0.131 0.025 0.035
12 B 0.131 0.475 0.535
13 B 0.369 0.525 0.035
14 B 0.369 0.975 0.535
15 B 0.404 0.078 0.440
16 B 0.404 0.422 0.940
17 B 0.422 0.560 0.904
18 B 0.422 0.940 0.404
19 B 0.440 0.096 0.578
20 B 0.440 0.404 0.078
21 B 0.465 0.631 0.025
22 B 0.465 0.869 0.525
23 B 0.475 0.535 0.131
24 B 0.475 0.965 0.631
25 B 0.525 0.035 0.369
26 B 0.525 0.465 0.869
27 B 0.535 0.131 0.475
28 B 0.535 0.369 0.975
29 B 0.560 0.596 0.922
30 B 0.560 0.904 0.422
31 B 0.578 0.060 0.596
32 B 0.578 0.440 0.096
33 B 0.596 0.578 0.060
34 B 0.596 0.922 0.560
35 B 0.631 0.025 0.465
36 B 0.631 0.475 0.965
37 B 0.869 0.525 0.465
38 B 0.869 0.975 0.965
39 B 0.904 0.078 0.060
40 B 0.904 0.422 0.560
41 B 0.922 0.560 0.596
42 B 0.922 0.940 0.096
43 B 0.940 0.096 0.922
44 B 0.940 0.404 0.422
45 B 0.965 0.631 0.475
46 B 0.965 0.869 0.975
47 B 0.975 0.535 0.369
48 B 0.975 0.965 0.869
49 Cl 0.048 0.069 0.264
50 Cl 0.048 0.431 0.764
51 Cl 0.069 0.236 0.548
52 Cl 0.069 0.264 0.048
53 Cl 0.121 0.693 0.657
54 Cl 0.121 0.807 0.157
55 Cl 0.157 0.121 0.807
56 Cl 0.157 0.379 0.307
57 Cl 0.193 0.657 0.379
58 Cl 0.193 0.843 0.879
59 Cl 0.236 0.548 0.069
60 Cl 0.236 0.952 0.569
61 Cl 0.264 0.048 0.069
62 Cl 0.264 0.452 0.569
63 Cl 0.307 0.157 0.379
64 Cl 0.307 0.343 0.879
65 Cl 0.343 0.621 0.807
66 Cl 0.343 0.879 0.307
67 Cl 0.379 0.193 0.657
68 Cl 0.379 0.307 0.157
69 Cl 0.431 0.736 0.548
70 Cl 0.431 0.764 0.048
71 Cl 0.452 0.569 0.264
72 Cl 0.452 0.931 0.764
73 Cl 0.548 0.069 0.236
74 Cl 0.548 0.431 0.736
75 Cl 0.569 0.236 0.952
76 Cl 0.569 0.264 0.452
77 Cl 0.621 0.693 0.843
78 Cl 0.621 0.807 0.343
79 Cl 0.657 0.121 0.693
80 Cl 0.657 0.379 0.193
81 Cl 0.693 0.657 0.121
82 Cl 0.693 0.843 0.621
83 Cl 0.736 0.548 0.431
84 Cl 0.736 0.952 0.931
85 Cl 0.764 0.048 0.431
86 Cl 0.764 0.452 0.931
87 Cl 0.807 0.157 0.121
88 Cl 0.807 0.343 0.621
89 Cl 0.843 0.621 0.693
90 Cl 0.843 0.879 0.193
91 Cl 0.879 0.193 0.843
92 Cl 0.879 0.307 0.343
93 Cl 0.931 0.736 0.952
94 Cl 0.931 0.764 0.452
95 Cl 0.952 0.569 0.236
96 Cl 0.952 0.931 0.736

## Properties
magnetization: 0.01 μB/f.u.

***

2.
# BCl

Crystalline BCl at its relaxed geometry (PBE-GGA, the Materials Project).

a b c (Å): 8.268 13.569 14.589
angles (deg): 90.00 90.00 90.00
Fractional positions:
1 B 0.013 0.005 0.045
2 B 0.014 0.437 0.353
3 B 0.046 0.063 0.169
4 B 0.124 0.898 0.068
5 B 0.136 0.111 0.069
6 B 0.194 0.946 0.173
7 B 0.243 0.928 0.656
8 B 0.248 0.996 0.553
9 B 0.252 0.004 0.053
10 B 0.257 0.072 0.156
11 B 0.306 0.054 0.673
12 B 0.364 0.889 0.569
13 B 0.376 0.102 0.568
14 B 0.454 0.937 0.669
15 B 0.486 0.563 0.853
16 B 0.487 0.995 0.545
17 B 0.513 0.495 0.955
18 B 0.514 0.063 0.647
19 B 0.546 0.437 0.831
20 B 0.624 0.602 0.932
21 B 0.636 0.389 0.931
22 B 0.694 0.554 0.827
23 B 0.743 0.572 0.344
24 B 0.748 0.504 0.447
25 B 0.752 0.496 0.947
26 B 0.757 0.428 0.844
27 B 0.806 0.446 0.327
28 B 0.864 0.611 0.431
29 B 0.876 0.398 0.432
30 B 0.954 0.563 0.331
31 B 0.986 0.937 0.147
32 B 0.987 0.505 0.455
33 Cl 0.082 0.622 0.252
34 Cl 0.090 0.018 0.475
35 Cl 0.092 0.866 0.714
36 Cl 0.127 0.526 0.544
37 Cl 0.129 0.225 0.016
38 Cl 0.140 0.785 0.015
39 Cl 0.175 0.375 0.305
40 Cl 0.195 0.114 0.759
41 Cl 0.305 0.886 0.259
42 Cl 0.325 0.625 0.805
43 Cl 0.360 0.215 0.515
44 Cl 0.371 0.775 0.516
45 Cl 0.373 0.474 0.044
46 Cl 0.408 0.134 0.214
47 Cl 0.410 0.982 0.975
48 Cl 0.418 0.378 0.752
49 Cl 0.582 0.878 0.748
50 Cl 0.590 0.482 0.525
51 Cl 0.592 0.634 0.286
52 Cl 0.627 0.974 0.456
53 Cl 0.629 0.275 0.984
54 Cl 0.640 0.715 0.985
55 Cl 0.675 0.125 0.695
56 Cl 0.695 0.386 0.241
57 Cl 0.805 0.614 0.741
58 Cl 0.825 0.875 0.195
59 Cl 0.860 0.285 0.485
60 Cl 0.871 0.725 0.484
61 Cl 0.873 0.026 0.956
62 Cl 0.908 0.366 0.786
63 Cl 0.910 0.518 0.025
64 Cl 0.918 0.122 0.248

## Properties
magnetization: 0.00 μB/f.u.

***

Least stable: 2

***

1.
# BCl

Crystalline BCl at its relaxed geometry (PBE-GGA, the Materials Project).

a b c (Å): 8.691 8.691 5.880
angles (deg): 90.00 90.00 90.00
Fractional positions:
1 B 0.153 0.750 0.148
2 B 0.250 0.653 0.352
3 B 0.250 0.847 0.352
4 B 0.347 0.750 0.148
5 B 0.653 0.250 0.852
6 B 0.750 0.153 0.648
7 B 0.750 0.347 0.648
8 B 0.847 0.250 0.852
9 Cl 0.009 0.250 0.022
10 Cl 0.250 0.009 0.522
11 Cl 0.250 0.491 0.522
12 Cl 0.491 0.250 0.022
13 Cl 0.509 0.750 0.978
14 Cl 0.750 0.509 0.478
15 Cl 0.750 0.991 0.478
16 Cl 0.991 0.750 0.978

## Properties
magnetization: 0.00 μB/f.u.

***

2.
# BCl

Crystalline BCl at its relaxed geometry (PBE-GGA, the Materials Project).

a b c (Å): 9.718 11.705 11.722
angles (deg): 83.75 81.18 80.89
Fractional positions:
1 B 0.000 0.000 0.000
2 B 0.000 0.169 0.830
3 B 0.027 0.026 0.857
4 B 0.478 0.834 0.514
5 B 0.479 0.683 0.664
6 B 0.498 0.828 0.659
7 B 0.501 0.700 0.026
8 B 0.504 0.192 0.533
9 B 0.591 0.187 0.018
10 B 0.640 0.814 0.540
11 B 0.641 0.709 0.644
12 B 0.753 0.156 0.987
13 B 0.825 0.025 0.032
14 B 0.825 0.202 0.857
15 B 0.829 0.614 0.445
16 B 0.902 0.695 0.526
17 B 0.991 0.131 0.473
18 B 0.995 0.641 0.958
19 Cl 0.000 0.498 0.014
20 Cl 0.005 0.180 0.329
21 Cl 0.065 0.924 0.754
22 Cl 0.087 0.684 0.514
23 Cl 0.124 0.264 0.781
24 Cl 0.125 0.951 0.094
25 Cl 0.359 0.886 0.421
26 Cl 0.361 0.589 0.715
27 Cl 0.415 0.205 0.037
28 Cl 0.429 0.927 0.760
29 Cl 0.448 0.651 0.167
30 Cl 0.449 0.334 0.481
31 Cl 0.730 0.280 0.747
32 Cl 0.735 0.912 0.107
33 Cl 0.798 0.664 0.304
34 Cl 0.801 0.472 0.496
35 Cl 0.812 0.863 0.495
36 Cl 0.813 0.665 0.693

## Properties
magnetization: 0.00 μB/f.u.

***

Least stable: 2